Material: Os3C10O11
Method: DFT, PBE
State: relaxed

Calculated values
Energy of formation ... -0.947 eV/atom
Size of the total moment ... 0.0 μB/f.u.

a b c (Å): 25.2508 7.3690 9.4162
angles (deg): 74.01 90.00 90.00
With the nearest neighbours (Å) after each atom.
Atoms (fractional coordinates):
1 C 0.8941 0.6380 0.7626  1 O 1.16
2 C 0.5434 0.7243 0.7122  1 O 1.16
3 C 0.5904 0.0404 0.9413  1 O 1.16
4 C 0.4566 0.2757 0.2878  1 O 1.16
5 C 0.4096 0.9596 0.0587  1 O 1.16
6 C 0.3037 0.0255 0.9906  1 O 1.16
7 C 0.7144 0.3614 0.8676  1 O 1.16
8 C 0.0904 0.4596 0.5587  1 O 1.16
9 C 0.3606 0.3954 0.3714  1 O 1.16
10 C 0.0576 0.1105 0.8694  1 O 1.17
11 C 0.6963 0.9745 0.0094  1 O 1.16
12 C 0.3352 0.8563 0.3025  1 O 1.16
13 C 0.2856 0.6386 0.1324  1 O 1.16
14 C 0.9164 0.0216 0.7152  1 O 1.16
15 C 0.8037 0.4745 0.5094  1 O 1.16
16 C 0.6059 0.1380 0.2626  1 O 1.16
17 C 0.2144 0.1386 0.6324  1 O 1.16
18 C 0.1394 0.8954 0.8714  1 O 1.16
19 C 0.4164 0.4784 0.7848  1 O 1.16
20 C 0.6394 0.6046 0.6286  1 O 1.16
21 C 0.0836 0.9784 0.2848  1 O 1.16
22 C 0.9096 0.5404 0.4413  1 O 1.16
23 C 0.1817 0.1172 0.3217  1 O 1.16
24 C 0.1963 0.5255 0.4906  1 O 1.16
25 C 0.7856 0.8614 0.3676  1 O 1.16
26 C 0.8606 0.1046 0.1286  1 O 1.16
27 C 0.0434 0.7757 0.7878  1 O 1.16
28 C 0.6648 0.1437 0.6975  1 O 1.16
29 C 0.8183 0.8828 0.6783  1 O 1.16
30 C 0.4424 0.6105 0.3694  1 O 1.17
31 C 0.9424 0.8895 0.1306  1 O 1.17
32 C 0.5576 0.3895 0.6306  1 O 1.17
33 C 0.1059 0.3620 0.2374  1 O 1.16
34 C 0.1648 0.3563 0.8025  1 O 1.16
35 C 0.9566 0.2243 0.2122  1 O 1.16
36 C 0.6817 0.3828 0.1783  1 O 1.16
37 C 0.8352 0.6437 0.1975  1 O 1.16
38 C 0.3941 0.8620 0.7374  1 O 1.16
39 C 0.3183 0.6172 0.8217  1 O 1.16
40 C 0.5836 0.5216 0.2152  1 O 1.16
41 Os 0.8879 0.8572 0.6061  3 C 1.87-1.93, 1 O 1.96
42 Os 0.3441 0.8179 0.1097  4 C 1.92-1.95
43 Os 0.4142 0.5034 0.2295  3 C 1.85-1.94, 1 O 1.95
44 Os 0.8441 0.6821 0.3903  4 C 1.92-1.95
45 Os 0.1559 0.3179 0.6097  4 C 1.92-1.95
46 Os 0.3879 0.6428 0.8939  3 C 1.87-1.93, 1 O 1.96
47 Os 0.0858 0.0034 0.7295  3 C 1.85-1.94, 1 O 1.95
48 Os 0.6121 0.3572 0.1061  3 C 1.87-1.93, 1 O 1.96
49 Os 0.5858 0.4966 0.7705  3 C 1.85-1.94, 1 O 1.95
50 Os 0.9142 0.9966 0.2705  3 C 1.85-1.94, 1 O 1.95
51 Os 0.1121 0.1427 0.3939  3 C 1.87-1.93, 1 O 1.96
52 Os 0.6559 0.1821 0.8903  4 C 1.92-1.95
53 O 0.4767 0.1290 0.3294  1 C 1.16
54 O 0.2518 0.5284 0.1445  1 C 1.16
55 O 0.5724 0.6289 0.2802  1 C 1.16
56 O 0.9767 0.3710 0.1706  1 C 1.16
57 O 0.7194 0.8441 0.0800  1 C 1.16
58 O 0.4467 0.5763 0.0340  2 Os 1.95-1.96
59 O 0.5374 0.3096 0.5542  1 C 1.17
60 O 0.2194 0.6559 0.4200  1 C 1.16
61 O 0.2758 0.5932 0.7836  1 C 1.16
62 O 0.9276 0.1289 0.7802  1 C 1.16
63 O 0.5976 0.9971 0.3524  1 C 1.16
64 O 0.7482 0.4716 0.8555  1 C 1.16
65 O 0.7242 0.4068 0.2164  1 C 1.16
66 O 0.9626 0.8096 0.0542  1 C 1.17
67 O 0.2806 0.1559 0.9200  1 C 1.16
68 O 0.4472 0.0524 0.0254  1 C 1.16
69 O 0.5528 0.9476 0.9746  1 C 1.16
70 O 0.0976 0.5029 0.1476  1 C 1.16
71 O 0.1679 0.3786 0.9198  1 C 1.16
72 O 0.2482 0.0284 0.6445  1 C 1.16
73 O 0.7758 0.9068 0.7164  1 C 1.16
74 O 0.3320 0.8786 0.4198  1 C 1.16
75 O 0.0724 0.8711 0.2198  1 C 1.16
76 O 0.5233 0.8710 0.6706  1 C 1.16
77 O 0.0528 0.5524 0.5254  1 C 1.16
78 O 0.6739 0.6668 0.5481  1 C 1.16
79 O 0.3261 0.3332 0.4519  1 C 1.16
80 O 0.0233 0.6290 0.8294  1 C 1.16
81 O 0.1739 0.8332 0.9519  1 C 1.16
82 O 0.4276 0.3711 0.7198  1 C 1.16
83 O 0.0374 0.1904 0.9458  1 C 1.17
84 O 0.8320 0.6214 0.0802  1 C 1.16
85 O 0.7518 0.9716 0.3555  1 C 1.16
86 O 0.2242 0.0932 0.2836  1 C 1.16
87 O 0.0533 0.0763 0.5340  2 Os 1.95-1.96
88 O 0.9024 0.4971 0.8524  1 C 1.16
89 O 0.9472 0.4476 0.4746  1 C 1.16
90 O 0.6680 0.1214 0.5802  1 C 1.16
91 O 0.7806 0.3441 0.5800  1 C 1.16
92 O 0.8261 0.1668 0.0481  1 C 1.16
93 O 0.5533 0.4237 0.9660  2 Os 1.95-1.96
94 O 0.4626 0.6904 0.4458  1 C 1.17
95 O 0.4024 0.0029 0.6476  1 C 1.16
96 O 0.9467 0.9237 0.4660  2 Os 1.95-1.96

Material: NaLiMnS2
Method: DFT, PBE
State: relaxed

Calculated values
Energy of formation ... -1.036 eV/atom
Size of the total moment ... 4.7 μB/f.u.

a b c (Å): 3.7728 3.7728 6.7007
angles (deg): 90.00 90.00 120.00
With the nearest neighbours (Å) after each atom.
Atoms (fractional coordinates):
1 S 0.3333 0.6667 0.7177  3 Li 2.24, 1 Mn 2.31
2 S 0.0000 0.0000 0.2866  3 Mn 2.25, 1 Li 2.36
3 Na 0.6667 0.3333 0.9839  6 S 2.82-2.98
4 Mn 0.3333 0.6667 0.3727  4 S 2.25-2.31
5 Li 0.0000 0.0000 0.6391  4 S 2.24-2.36

Material: Ti5Bi4Pb2O18
Method: DFT, PBE
State: relaxed

Calculated values
Energy of formation ... -2.597 eV/atom
Size of the total moment ... 0.0 μB/f.u.

a b c (Å): 25.0543 25.0543 5.5254
angles (deg): 89.88 89.88 167.26
With the nearest neighbours (Å) after each atom.
Atoms (fractional coordinates):
1 O 0.8384 0.1899 0.7169  2 Ti 1.91-2.02
2 O 0.5004 0.5019 0.7448  4 Bi 2.23-2.44
3 O 0.3570 0.7028 0.7791  1 Ti 1.84
4 O 0.1513 0.4112 0.5598  1 Ti 1.87
5 O 0.9584 0.1292 0.7666  2 Ti 2.00-2.04
6 O 0.7028 0.3570 0.2791  1 Ti 1.84
7 O 0.0012 0.0032 0.7552  4 Bi 2.23-2.50
8 O 0.6181 0.4365 0.7498  2 Ti 1.95-1.98
9 O 0.4233 0.7589 0.2961  2 Ti 1.97-2.09
10 O 0.9269 0.2579 0.2121  1 Ti 1.82
11 O 0.3084 0.7999 0.7550  1 Ti 1.82
12 O 0.1899 0.8384 0.2169  2 Ti 1.91-2.02
13 O 0.0135 0.5938 0.5692  2 Ti 2.03-2.16
14 O 0.2393 0.3293 0.4499  1 Ti 1.77
15 O 0.4112 0.1513 0.0598  1 Ti 1.87
16 O 0.1103 0.5303 0.4636  2 Ti 2.04-2.19, 1 Bi 2.24
17 O 0.5019 0.5004 0.2448  4 Bi 2.23-2.44
18 O 0.2579 0.9269 0.7121  1 Ti 1.82
19 O 0.3293 0.2393 0.9499  1 Ti 1.77
20 O 0.6928 0.9527 0.9667  1 Ti 1.89
21 O 0.1292 0.9584 0.2666  2 Ti 2.00-2.04
22 O 0.9527 0.6928 0.4667  1 Ti 1.89
23 O 0.5938 0.0135 0.0692  2 Ti 2.03-2.16
24 O 0.7295 0.8193 0.0490  1 Ti 1.77
25 O 0.7589 0.4233 0.7961  2 Ti 1.97-2.09
26 O 0.8062 0.2994 0.7621  2 Ti 1.88-2.04
27 O 0.8193 0.7295 0.5490  1 Ti 1.77
28 O 0.4459 0.6164 0.7515  2 Ti 1.90-2.07
29 O 0.5303 0.1103 0.9636  2 Ti 2.04-2.19, 1 Bi 2.24
30 O 0.1236 0.9440 0.7515  2 Ti 1.95-2.14
31 O 0.7999 0.3084 0.2550  1 Ti 1.82
32 O 0.0032 0.0012 0.2552  4 Bi 2.23-2.50
33 O 0.2994 0.8062 0.2621  2 Ti 1.88-2.04
34 O 0.9440 0.1236 0.2515  2 Ti 1.95-2.14
35 O 0.4365 0.6181 0.2498  2 Ti 1.95-1.98
36 O 0.6164 0.4459 0.2515  2 Ti 1.90-2.07
37 Ti 0.0979 0.4310 0.4900  3 O 1.82-1.91
38 Ti 0.5186 0.0178 0.9976  4 O 1.82-2.04
39 Ti 0.6113 0.9462 0.9892  4 O 1.84-2.02
40 Ti 0.0178 0.5186 0.4976  4 O 1.82-2.04
41 Ti 0.6787 0.8387 0.9998  3 O 1.77-1.95
42 Ti 0.3543 0.1938 0.9885  2 O 1.77-1.95
43 Ti 0.9462 0.6113 0.4892  4 O 1.84-2.02
44 Ti 0.4310 0.0979 0.9900  3 O 1.82-1.91
45 Ti 0.8387 0.6787 0.4998  3 O 1.77-1.95
46 Ti 0.1938 0.3543 0.4885  2 O 1.77-1.95
47 Bi 0.5156 0.9286 0.4806  3 O 2.24-2.32
48 Bi 0.7103 0.7609 0.4697  4 O 2.23-2.50
49 Bi 0.7609 0.7103 0.9697  4 O 2.23-2.50
50 Bi 0.3458 0.1093 0.4761  4 O 2.26-2.39
51 Bi 0.9286 0.5156 0.9806  3 O 2.24-2.32
52 Bi 0.2124 0.2629 0.0252  4 O 2.23-2.44
53 Bi 0.1093 0.3458 0.9761  4 O 2.26-2.39
54 Bi 0.2629 0.2124 0.5252  4 O 2.23-2.44
55 Pb 0.0453 0.4626 0.9897  7 O 2.53-2.79
56 Pb 0.6305 0.8764 0.4944  6 O 2.46-2.67
57 Pb 0.4626 0.0453 0.4897  7 O 2.53-2.79
58 Pb 0.8764 0.6305 0.9944  6 O 2.46-2.67

Material: Li6NCl3
Method: DFT, PBE
State: relaxed

Calculated values
Energy of formation ... -1.399 eV/atom
Size of the total moment ... 0.0 μB/f.u.

a b c (Å): 3.7395 3.7395 13.5289
angles (deg): 81.42 81.42 60.06
With the nearest neighbours (Å) after each atom.
Atoms (fractional coordinates):
1 Cl 0.2145 0.2145 0.2523  3 Li 2.42
2 Cl 0.4617 0.4617 0.5061  4 Li 2.28-2.40
3 Cl 0.7264 0.7264 0.7568  4 Li 2.29-2.42
4 Li 0.7664 0.7664 0.5851  4 Cl 2.29-2.40
5 Li 0.0311 0.0311 0.8384  1 N 1.99
6 Li 0.6517 0.6517 0.9676  3 N 2.17-2.18, 3 Li 2.20
7 Li 0.5179 0.5179 0.3347  4 Cl 2.28-2.42
8 Li 0.9251 0.9251 0.1285  1 N 1.87
9 Li 0.3072 0.3072 0.9976  3 N 2.16, 3 Li 2.20
10 N 0.9773 0.9773 0.9879  2 Li 1.87-1.99

Material: YSF
Method: DFT, PBE
State: relaxed

Calculated values
Energy of formation ... -3.269 eV/atom
Size of the total moment ... 0.0 μB/f.u.

a b c (Å): 4.0781 4.0781 16.8184
angles (deg): 90.00 90.00 120.00
With the nearest neighbours (Å) after each atom.
Atoms (fractional coordinates):
1 F 0.0000 0.0000 0.2500  3 F 2.35, 3 Y 2.35
2 F 0.0000 0.0000 0.7500  3 F 2.35, 3 Y 2.35
3 F 0.3333 0.6667 0.7500  3 Y 2.35, 3 F 2.35
4 F 0.6667 0.3333 0.2500  3 Y 2.35, 3 F 2.35
5 Y 0.3333 0.6667 0.2500  6 F 2.35
6 Y 0.6667 0.3333 0.7500  6 F 2.35
7 Y 0.0000 0.0000 0.5000  6 S 2.76
8 Y 0.0000 0.0000 0.0000  6 S 2.76
9 S 0.3333 0.6667 0.0855  4 Y 2.76-2.77
10 S 0.3333 0.6667 0.4145  4 Y 2.76-2.77
11 S 0.6667 0.3333 0.5855  4 Y 2.76-2.77
12 S 0.6667 0.3333 0.9145  4 Y 2.76-2.77

Material: LiAlSi2O6
Method: DFT, PBE
State: relaxed

Calculated values
Energy of formation ... -3.228 eV/atom
E above lowest polymorph ... 0 meV per atom
Size of the total moment ... 0.0 μB/f.u.

a b c (Å): 5.3005 5.2704 5.5406
angles (deg): 90.00 90.00 59.81
With the nearest neighbours (Å) after each atom.
Atoms (fractional coordinates):
1 Si 0.5000 0.5000 0.3340  4 O 1.63
2 Si 0.0000 0.5000 0.9993  4 O 1.63
3 O 0.7728 0.4544 0.1667  2 Si 1.63
4 O 0.3846 0.7918 0.5014  1 Si 1.63, 1 Al 1.76
5 O 0.8236 0.7918 0.8319  1 Si 1.63, 1 Al 1.76
6 O 0.2272 0.5456 0.1667  2 Si 1.63
7 O 0.6154 0.2082 0.5014  1 Si 1.63, 1 Al 1.76
8 O 0.1764 0.2082 0.8319  1 Si 1.63, 1 Al 1.76
9 Li 0.0000 0.0000 0.6667  4 O 1.99
10 Al 0.5000 0.0000 0.6667  4 O 1.76

Which of these has the lowest energy of formation?
YSF

What did the fourth record say?
Material: Li6NCl3
Method: DFT, PBE
State: relaxed

Calculated values
Energy of formation ... -1.399 eV/atom
Size of the total moment ... 0.0 μB/f.u.

a b c (Å): 3.7395 3.7395 13.5289
angles (deg): 81.42 81.42 60.06
With the nearest neighbours (Å) after each atom.
Atoms (fractional coordinates):
1 Cl 0.2145 0.2145 0.2523  3 Li 2.42
2 Cl 0.4617 0.4617 0.5061  4 Li 2.28-2.40
3 Cl 0.7264 0.7264 0.7568  4 Li 2.29-2.42
4 Li 0.7664 0.7664 0.5851  4 Cl 2.29-2.40
5 Li 0.0311 0.0311 0.8384  1 N 1.99
6 Li 0.6517 0.6517 0.9676  3 N 2.17-2.18, 3 Li 2.20
7 Li 0.5179 0.5179 0.3347  4 Cl 2.28-2.42
8 Li 0.9251 0.9251 0.1285  1 N 1.87
9 Li 0.3072 0.3072 0.9976  3 N 2.16, 3 Li 2.20
10 N 0.9773 0.9773 0.9879  2 Li 1.87-1.99